# 1
# RbAlF4

RbAlF4 after structural relaxation (r²SCAN, the Materials Project database).

- spin magnetization (μB per cell) = 0.000
- formation enthalpy at 0 K (meV per atom) = -3638

abc: 3.647 3.647 6.273
angles: 90.00 90.00 90.00
Space group P4/mmm (No. 123)
Symmetry-distinct sites (fractional):
Rb  0.000  0.000  0.000 (multiplicity 1)
Al  0.500  0.500  0.500 (multiplicity 1)
F  0.000  0.500  0.500 (multiplicity 2)
F  0.500  0.500  0.218 (multiplicity 2)

---

# 2
# AlTl2F5

AlTl2F5 after structural relaxation (r²SCAN, the Materials Project database).

- spin magnetization (μB per cell) = 0.000
- formation enthalpy at 0 K (meV per atom) = -2910

abc: 8.804 8.830 7.428
angles: 90.00 90.00 90.00
Space group Cmcm (No. 63)
Symmetry-distinct sites (fractional):
Al  0.000  0.000  0.000 (multiplicity 4)
Tl  0.247  0.259  0.250 (multiplicity 8)
F  0.000  0.016  0.250 (multiplicity 4)
F  0.000  0.203  0.519 (multiplicity 8)
F  0.204  0.000  0.000 (multiplicity 8)

---

# 3
# AlTl2F5

AlTl2F5 after structural relaxation (r²SCAN, the Materials Project database).

- spin magnetization (μB per cell) = 0.000
- formation enthalpy at 0 K (meV per atom) = -2910

abc: 8.738 8.849 7.428
angles: 90.00 90.00 90.00
Space group Cmcm (No. 63)
Symmetry-distinct sites (fractional):
Al  0.000  0.000  0.000 (multiplicity 4)
Tl  0.244  0.261  0.250 (multiplicity 8)
F  0.000  0.014  0.250 (multiplicity 4)
F  0.000  0.202  0.516 (multiplicity 8)
F  0.205  0.000  0.000 (multiplicity 8)

---

# 4
# AlTl2F5

AlTl2F5 after structural relaxation (r²SCAN, the Materials Project database).

- spin magnetization (μB per cell) = 0.000
- formation enthalpy at 0 K (meV per atom) = -2910

abc: 8.812 8.816 7.420
angles: 90.00 90.00 90.00
Space group Cmcm (No. 63)
Symmetry-distinct sites (fractional):
Al  0.000  0.000  0.000 (multiplicity 4)
Tl  0.250  0.248  0.250 (multiplicity 8)
F  0.000  0.004  0.750 (multiplicity 4)
F  0.000  0.204  0.005 (multiplicity 8)
F  0.204  0.000  0.000 (multiplicity 8)

---

spin magnetization of number 3 (AlTl2F5)? 0.000 μB per cell

---

What is the spin magnetization in the fourth record? 0.000 μB per cell